# Li4Nb2Fe3Te3O16

An optimized crystal structure of Li4Nb2Fe3Te3O16 (PBE with a Hubbard U, the Materials Project).

```
Li4Nb2Fe3Te3O16
1.0
6.3625 0.0000 0.0000
3.0858 5.5927 0.0000
0.1242 0.0331 10.1356
Li Nb Fe Te O
4 2 3 3 16
Direct
0.0000 0.0000 0.0000
0.0126 0.0213 0.5261
0.3184 0.3272 0.6121
0.6581 0.6480 0.0922
0.3267 0.3250 0.0014
0.6364 0.6356 0.5235
0.1626 0.1380 0.2960
0.3258 0.8179 0.7945
0.8151 0.3265 0.7930
0.1261 0.6300 0.3061
0.6489 0.1622 0.2726
0.8100 0.8118 0.7846
0.0015 0.0009 0.7062
0.0298 0.4765 0.1719
0.1661 0.1733 0.9244
0.1907 0.6400 0.9332
0.2732 0.3396 0.4093
0.3511 0.8435 0.4318
0.4868 0.0326 0.1600
0.4952 0.4458 0.1605
0.5009 0.5190 0.6539
0.5337 0.9481 0.6645
0.6269 0.1873 0.9185
0.6457 0.6530 0.8910
0.8189 0.3455 0.4286
0.8408 0.7829 0.4175
0.9431 0.5314 0.6638
0.9579 0.0384 0.1829
```

Formation enthalpy at 0 K in kcal/mol of atoms: -47.10
E (MP2020) in eV/atom: -7.11
Electronic total energy in eV per atom: -6.474